Entry 1:
Density functional theory data (PBE) for an optimized crystal structure of K4MgV2Ag2S8.

Volume, Å³/atom: 28.05
Calculated formation energy, meV per atom: -1118.6
Final energy, eV per cell: -78.0
Space group: No. 1
Energy above the lowest structure with this stoichiometry, eV per atom: 0.034

Cell: 5.8075 7.0381 12.9148 Å, 86.95 82.58 65.62°
Fractional coordinates of all 17 atoms:
1 K 0.4012 0.2763 0.9485
2 K 0.4310 0.7454 0.1139
3 K 0.3216 0.2764 0.5516
4 K 0.8234 0.7455 0.3864
5 Mg 0.8851 0.2288 0.7499
6 V 0.6204 0.7588 0.7499
7 V 0.3682 0.2635 0.2501
8 Ag 0.1691 0.6614 0.7501
9 Ag 0.8781 0.2436 0.2500
10 S 0.8686 0.5191 0.8620
11 S 0.6117 0.5190 0.6377
12 S 0.7971 0.9598 0.6586
13 S 0.2426 0.9602 0.8411
14 S 0.0778 0.4739 0.1549
15 S 0.2433 0.0583 0.3551
16 S 0.4481 0.4737 0.3453
17 S 0.6983 0.0584 0.1450

=====

Entry 2:
Density functional theory data (PBE) for an optimized crystal structure of K4MgV2Ag2S8.

Volume, Å³/atom: 26.45
Calculated formation energy, meV per atom: -1152.4
Final energy, eV per cell: -78.5
Space group: No. 5
Energy above the lowest structure with this stoichiometry, eV per atom: 0.000

Cell: 6.0413 7.1587 11.6119 Å, 84.41 74.92 68.02°
Fractional coordinates of all 17 atoms:
1 K 0.5573 0.2500 0.8854
2 K 0.4301 0.7500 0.1398
3 K 0.1968 0.2500 0.6064
4 K 0.8026 0.7500 0.3949
5 Mg 0.0026 0.7500 0.9948
6 V 0.6213 0.7500 0.7575
7 V 0.3767 0.2500 0.2466
8 Ag 0.1428 0.7500 0.7143
9 Ag 0.8772 0.2500 0.2455
10 S 0.8670 0.5661 0.8766
11 S 0.5861 0.5394 0.6428
12 S 0.7711 0.9606 0.6428
13 S 0.2564 0.9339 0.8766
14 S 0.1381 0.4608 0.1281
15 S 0.2017 0.0550 0.3599
16 S 0.4385 0.4450 0.3599
17 S 0.7338 0.0392 0.1281

=====

Entry 3:
Density functional theory data (PBE) for an optimized crystal structure of K2Nb6AgP3O24.

Volume, Å³/atom: 15.60
Calculated formation energy, meV per atom: -2830.6
Final energy, eV per cell: -286.1
Space group: No. 5

Cell: 8.5777 8.5777 8.6433 Å, 75.41 75.41 104.38°
Fractional coordinates of all 36 atoms:
1 K 0.1700 0.4768 0.2202
2 K 0.5232 0.8300 0.7798
3 Nb 0.1517 0.0345 0.6486
4 Nb 0.3547 0.1547 0.9615
5 Nb 0.8453 0.6453 0.0385
6 Nb 0.0368 0.3519 0.8456
7 Nb 0.9655 0.8483 0.3514
8 Nb 0.6481 0.9632 0.1544
9 Ag 0.5035 0.4965 0.5000
10 P 0.4978 0.2686 0.2684
11 P 0.7314 0.5022 0.7316
12 P 0.2702 0.7298 0.5000
13 O 0.4975 0.0209 0.0223
14 O 0.1528 0.0018 0.1538
15 O 0.5748 0.1252 0.2829
16 O 0.8466 0.1534 0.0000
17 O 0.3124 0.0675 0.7924
18 O 0.4163 0.2895 0.1278
19 O 0.3583 0.2359 0.4396
20 O 0.6400 0.4405 0.2319
21 O 0.0764 0.2129 0.6879
22 O 0.8748 0.4252 0.7171
23 O 0.5595 0.3600 0.7681
24 O 0.2103 0.3159 0.9317
25 O 0.9791 0.5025 0.9777
26 O 0.9325 0.6876 0.2076
27 O 0.7641 0.6417 0.5604
28 O 0.7105 0.5837 0.8722
29 O 0.6841 0.7897 0.0683
30 O 0.2369 0.5596 0.6418
31 O 0.4404 0.7631 0.3582
32 O 0.1279 0.7104 0.4208
33 O 0.7871 0.9236 0.3121
34 O 0.2896 0.8721 0.5792
35 O 0.9982 0.8472 0.8462
36 O 0.0258 0.9742 0.5000

=====

Entry 4:
Density functional theory data (PBE) for an optimized crystal structure of KNb4AgP2S20.

Volume, Å³/atom: 24.32
Calculated formation energy, meV per atom: -988.7
Final energy, eV per cell: -155.5
Space group: No. 1

Cell: 7.2438 7.3953 13.0841 Å, 89.58 76.34 88.65°
Fractional coordinates of all 28 atoms:
1 K 0.5707 0.5001 0.4185
2 Nb 0.0023 0.0671 0.8941
3 Nb 0.9979 0.9336 0.1049
4 Nb 0.0011 0.0670 0.6058
5 Nb 0.9986 0.9331 0.3958
6 Ag 0.5023 0.5001 0.9991
7 P 0.7920 0.3879 0.7764
8 P 0.2056 0.6142 0.2229
9 S 0.2515 0.1069 0.7166
10 S 0.7476 0.8949 0.2827
11 S 0.7447 0.1085 0.7829
12 S 0.2556 0.8915 0.2173
13 S 0.7195 0.0835 0.0495
14 S 0.2809 0.9161 0.9502
15 S 0.1264 0.8580 0.7341
16 S 0.8741 0.1426 0.2668
17 S 0.7848 0.8277 0.9911
18 S 0.2158 0.1719 0.0083
19 S 0.5551 0.5445 0.8074
20 S 0.4431 0.4558 0.1920
21 S 0.9548 0.4154 0.8843
22 S 0.0438 0.5834 0.1156
23 S 0.7773 0.8299 0.5664
24 S 0.2218 0.1682 0.4343
25 S 0.7225 0.0874 0.5216
26 S 0.2770 0.9115 0.4804
27 S 0.9472 0.4174 0.6237
28 S 0.0544 0.5817 0.3770

=====

- The lowest calculated formation energy belongs to which entry?
  K2Nb6AgP3O24